This record from Materials Project describes a geometry-optimized AgBiS2 structure. The functional is PBE-GGA.

a = 5.6211 Å, b = 5.6211 Å, c = 11.5383 Å
α = 90.00°, β = 90.00°, γ = 90.00°
Space group I4_1/amd (No. 141, origin choice 2)
One atom of each set of equivalent atoms:
Ag (0.0000, 0.2500, 0.3750) (multiplicity 4)
Bi (0.0000, 0.2500, 0.8750) (multiplicity 4)
S (0.0000, 0.2500, 0.1216) (multiplicity 8)

Calculated values
* total energy after the MP2020 corrections: -16.79 eV per formula unit
* calculated formation energy: -0.4475 eV per atom
* calculated volume: 22.79 Å³ per atom
* electronic total energy: -63.12 eV per cell
* size of the total moment: 0.00 μB per formula unit